Compound: Ba2FeCoF9
Source: Materials Project
Functional: PBE+U
Structure: optimized geometry

a = 5.7956 Å, b = 18.0144 Å, c = 9.4718 Å
α = 90.00°, β = 126.61°, γ = 90.00°
Sites, in units of the cell vectors:
Ba (0.0471, 0.0361, 0.3023)
Ba (0.0471, 0.4639, 0.8023)
Ba (0.2113, 0.7173, 0.9285)
Ba (0.2113, 0.7827, 0.4285)
Ba (0.7887, 0.2173, 0.5715)
Ba (0.7887, 0.2827, 0.0715)
Ba (0.9529, 0.5361, 0.1977)
Ba (0.9529, 0.9639, 0.6977)
Fe (0.3528, 0.1257, 0.0877)
Fe (0.3528, 0.3743, 0.5877)
Fe (0.6472, 0.6257, 0.4123)
Fe (0.6472, 0.8743, 0.9123)
Co (0.4598, 0.5871, 0.7285)
Co (0.4598, 0.9129, 0.2285)
Co (0.5402, 0.0871, 0.7715)
Co (0.5402, 0.4129, 0.2715)
F (0.0080, 0.5710, 0.5723)
F (0.0080, 0.9290, 0.0723)
F (0.1041, 0.0853, 0.6012)
F (0.1041, 0.4147, 0.1012)
F (0.2113, 0.1654, 0.2129)
F (0.2113, 0.3346, 0.7129)
F (0.2453, 0.2093, 0.9353)
F (0.2453, 0.2907, 0.4353)
F (0.2604, 0.6638, 0.2404)
F (0.2604, 0.8362, 0.7404)
F (0.3920, 0.6945, 0.7041)
F (0.3920, 0.8055, 0.2041)
F (0.4316, 0.5821, 0.9316)
F (0.4316, 0.9179, 0.4316)
F (0.4756, 0.5765, 0.5181)
F (0.4756, 0.9235, 0.0181)
F (0.4844, 0.0329, 0.2406)
F (0.4844, 0.4671, 0.7406)
F (0.5156, 0.5329, 0.2594)
F (0.5156, 0.9671, 0.7594)
F (0.5244, 0.0765, 0.9819)
F (0.5244, 0.4235, 0.4819)
F (0.5684, 0.0821, 0.5684)
F (0.5684, 0.4179, 0.0684)
F (0.6080, 0.1945, 0.7959)
F (0.6080, 0.3055, 0.2959)
F (0.7396, 0.1638, 0.2596)
F (0.7396, 0.3362, 0.7596)
F (0.7547, 0.7093, 0.5647)
F (0.7547, 0.7907, 0.0647)
F (0.7887, 0.6654, 0.2871)
F (0.7887, 0.8346, 0.7871)
F (0.8959, 0.5853, 0.8988)
F (0.8959, 0.9147, 0.3988)
F (0.9920, 0.0710, 0.9277)
F (0.9920, 0.4290, 0.4277)

Computed properties:
**ΔH_f (0 K)**: -3.302 eV/atom
**MP2020-corrected energy**: -0.4499 Ry/atom


Compound: NaNdFe4O12
Source: Materials Project
Functional: PBE+U
Structure: optimized geometry

a = 5.3785 Å, b = 5.3785 Å, c = 7.6608 Å
α = 90.00°, β = 90.00°, γ = 90.00°
Sites, in units of the cell vectors:
Na (0.0000, 0.0000, 0.0000)
Nd (0.5000, 0.5000, 0.5000)
Fe (0.0000, 0.5000, 0.2447)
Fe (0.0000, 0.5000, 0.7553)
Fe (0.5000, 0.0000, 0.2447)
Fe (0.5000, 0.0000, 0.7553)
O (0.0000, 0.5000, 0.0000)
O (0.0000, 0.5000, 0.5000)
O (0.2581, 0.2581, 0.2619)
O (0.2581, 0.2581, 0.7381)
O (0.2581, 0.7419, 0.2619)
O (0.2581, 0.7419, 0.7381)
O (0.5000, 0.0000, 0.0000)
O (0.5000, 0.0000, 0.5000)
O (0.7419, 0.2581, 0.2619)
O (0.7419, 0.2581, 0.7381)
O (0.7419, 0.7419, 0.2619)
O (0.7419, 0.7419, 0.7381)

Computed properties:
**ΔH_f (0 K)**: -1.398 eV/atom
**MP2020-corrected energy**: -0.5084 Ry/atom


Compound: Li3MnPCO7
Source: Materials Project
Functional: PBE+U
Structure: optimized geometry

a = 6.5842 Å, b = 8.5948 Å, c = 9.9535 Å
α = 94.54°, β = 90.31°, γ = 90.43°
Sites, in units of the cell vectors:
Li (0.0000, 0.0000, 0.0000)
Li (0.0013, 0.0001, 0.5031)
Li (0.0038, 0.5599, 0.7843)
Li (0.2129, 0.1841, 0.7621)
Li (0.2181, 0.1792, 0.2589)
Li (0.2655, 0.6292, 0.5137)
Li (0.2679, 0.6302, 0.9948)
Li (0.4926, 0.8062, 0.7713)
Li (0.4955, 0.8141, 0.2605)
Li (0.7325, 0.6310, 0.9950)
Li (0.7796, 0.1783, 0.2590)
Li (0.7850, 0.1840, 0.7615)
Mn (0.0048, 0.5603, 0.2589)
Mn (0.4993, 0.2445, 0.9927)
Mn (0.4987, 0.2466, 0.4957)
Mn (0.7492, 0.6375, 0.5274)
P (0.4975, 0.4967, 0.7461)
P (0.4997, 0.4949, 0.2450)
P (0.9994, 0.3142, 0.5248)
P (0.9993, 0.3156, 0.0218)
C (0.4978, 0.9403, 0.5323)
C (0.4995, 0.9378, 0.0322)
C (0.9947, 0.8692, 0.7350)
C (0.9969, 0.8713, 0.2361)
O (0.9998, 0.3237, 0.1802)
O (0.9997, 0.4844, 0.9804)
O (0.0002, 0.8349, 0.8571)
O (0.0006, 0.4819, 0.4727)
O (0.1827, 0.2163, 0.9682)
O (0.1830, 0.2176, 0.4678)
O (0.3118, 0.5925, 0.7958)
O (0.3179, 0.5946, 0.3004)
O (0.4971, 0.0507, 0.6279)
O (0.4972, 0.7942, 0.5650)
O (0.4980, 0.3267, 0.7879)
O (0.4988, 0.3269, 0.2906)
O (0.4986, 0.4834, 0.5853)
O (0.4987, 0.9717, 0.4080)
O (0.4987, 0.9745, 0.9089)
O (0.4997, 0.0490, 0.1298)
O (0.5002, 0.4821, 0.0879)
O (0.4998, 0.7925, 0.0612)
O (0.6878, 0.5931, 0.3019)
O (0.6885, 0.5940, 0.7919)
O (0.8138, 0.2161, 0.4678)
O (0.8147, 0.2154, 0.9671)
O (0.9879, 0.7579, 0.6358)
O (0.9941, 0.8357, 0.3605)
O (0.9988, 0.0139, 0.7024)
O (0.9990, 0.0154, 0.2055)
O (0.9993, 0.3310, 0.6801)
O (0.9986, 0.7600, 0.1394)

Computed properties:
**ΔH_f (0 K)**: -2.408 eV/atom
**E above lowest polymorph**: 14 meV per atom
**MP2020-corrected energy**: -0.5397 Ry/atom


Compound: Li4Fe3Ni3Te2O16
Source: Materials Project
Functional: PBE+U
Structure: optimized geometry

a = 5.9415 Å, b = 5.9415 Å, c = 9.7066 Å
α = 90.31°, β = 90.31°, γ = 59.96°
Sites, in units of the cell vectors:
Li (0.0000, 0.0000, 0.0000)
Li (0.0009, 0.0009, 0.5034)
Li (0.3331, 0.3331, 0.5783)
Li (0.6650, 0.6650, 0.0747)
Fe (0.1669, 0.6569, 0.2745)
Fe (0.6569, 0.1669, 0.2745)
Fe (0.8273, 0.8273, 0.7738)
Ni (0.1697, 0.1697, 0.2758)
Ni (0.3393, 0.8272, 0.7749)
Ni (0.8272, 0.3393, 0.7749)
Te (0.3286, 0.3286, 0.0017)
Te (0.6621, 0.6621, 0.5054)
O (0.0358, 0.4831, 0.1339)
O (0.1662, 0.6532, 0.8958)
O (0.1670, 0.1670, 0.8970)
O (0.3375, 0.3375, 0.3785)
O (0.3396, 0.8238, 0.3976)
O (0.4788, 0.4788, 0.1344)
O (0.4831, 0.0358, 0.1339)
O (0.5169, 0.5169, 0.6365)
O (0.5206, 0.9618, 0.6338)
O (0.6532, 0.1662, 0.8958)
O (0.6676, 0.6676, 0.8751)
O (0.8238, 0.3396, 0.3976)
O (0.8246, 0.8246, 0.3947)
O (0.9618, 0.5206, 0.6338)
O (0.9953, 0.9953, 0.1888)
O (0.9962, 0.9962, 0.6907)

Computed properties:
**ΔH_f (0 K)**: -1.701 eV/atom
**MP2020-corrected energy**: -0.4816 Ry/atom


Compound: MgFe3P3O12
Source: Materials Project
Functional: PBE+U
Structure: optimized geometry

a = 5.2258 Å, b = 5.2316 Å, c = 11.2209 Å
α = 84.45°, β = 84.30°, γ = 61.91°
Sites, in units of the cell vectors:
Mg (0.0000, 0.0000, 0.0000)
Fe (0.0533, 0.4929, 0.7942)
Fe (0.3713, 0.6200, 0.5031)
Fe (0.5035, 0.9441, 0.2104)
P (0.4934, 0.5022, 0.0027)
P (0.4967, 0.0237, 0.6729)
P (0.9685, 0.4946, 0.3337)
O (0.0610, 0.6145, 0.4331)
O (0.1749, 0.1727, 0.3174)
O (0.2049, 0.5853, 0.9427)
O (0.3076, 0.0594, 0.7919)
O (0.3787, 0.9289, 0.5736)
O (0.4086, 0.7913, 0.0626)
O (0.4573, 0.3383, 0.6354)
O (0.5974, 0.2294, 0.0911)
O (0.6553, 0.5301, 0.3718)
O (0.7656, 0.4013, 0.9132)
O (0.8196, 0.8207, 0.6885)
O (0.9330, 0.6827, 0.2150)

Computed properties:
**ΔH_f (0 K)**: -2.383 eV/atom
**E above lowest polymorph**: 20 meV per atom
**MP2020-corrected energy**: -0.5722 Ry/atom


Compound: Li4Ti3Nb2Co3O16
Source: Materials Project
Functional: PBE+U
Structure: optimized geometry

a = 6.0148 Å, b = 11.5161 Å, c = 10.3649 Å
α = 116.42°, β = 90.47°, γ = 105.21°
Sites, in units of the cell vectors:
Li (0.9497, 0.9037, 0.6198)
Li (0.4498, 0.9037, 0.1197)
Li (0.4921, 0.9858, 0.4938)
Li (0.9920, 0.9857, 0.9938)
Li (0.7501, 0.4951, 0.7463)
Li (0.2501, 0.4951, 0.2463)
Li (0.2033, 0.4073, 0.5371)
Li (0.7033, 0.4073, 0.0372)
Ti (0.1337, 0.7338, 0.7780)
Ti (0.6337, 0.7338, 0.2781)
Ti (0.3778, 0.2206, 0.1888)
Ti (0.8778, 0.2206, 0.6887)
Ti (0.6267, 0.2199, 0.4370)
Ti (0.1266, 0.2199, 0.9370)
Nb (0.7506, 0.4997, 0.4162)
Nb (0.2502, 0.4997, 0.9162)
Nb (0.5207, 0.9881, 0.8188)
Nb (0.0209, 0.9879, 0.3187)
Co (0.8501, 0.2090, 0.1895)
Co (0.8523, 0.7089, 0.0251)
Co (0.5972, 0.7089, 0.7700)
Co (0.3500, 0.2090, 0.6894)
Co (0.3523, 0.7089, 0.5250)
Co (0.0976, 0.7090, 0.2698)
O (0.4447, 0.3330, 0.4067)
O (0.9448, 0.3331, 0.9067)
O (0.5321, 0.1068, 0.2272)
O (0.0321, 0.1069, 0.7272)
O (0.6614, 0.3052, 0.6496)
O (0.1614, 0.3052, 0.1495)
O (0.9081, 0.7978, 0.8956)
O (0.4078, 0.7980, 0.3955)
O (0.7967, 0.1031, 0.4697)
O (0.2967, 0.1031, 0.9697)
O (0.0388, 0.5799, 0.3734)
O (0.5386, 0.5801, 0.8735)
O (0.2837, 0.6086, 0.6446)
O (0.7842, 0.6087, 0.1450)
O (0.6476, 0.8530, 0.6864)
O (0.1478, 0.8531, 0.1861)
O (0.5532, 0.5887, 0.3768)
O (0.0529, 0.5887, 0.8770)
O (0.8006, 0.5889, 0.6236)
O (0.3005, 0.5888, 0.1236)
O (0.6543, 0.3375, 0.1866)
O (0.1543, 0.3377, 0.6867)
O (0.8843, 0.3376, 0.4169)
O (0.3843, 0.3376, 0.9169)
O (0.1904, 0.8495, 0.6908)
O (0.6904, 0.8493, 0.1906)
O (0.4070, 0.8502, 0.9096)
O (0.9071, 0.8503, 0.4097)
O (0.0485, 0.0933, 0.2136)
O (0.5486, 0.0933, 0.7136)
O (0.2979, 0.0935, 0.4624)
O (0.7979, 0.0935, 0.9623)

Computed properties:
**ΔH_f (0 K)**: -2.690 eV/atom
**MP2020-corrected energy**: -0.5968 Ry/atom


Compound: Na4FeO5
Source: Materials Project
Functional: PBE+U
Structure: optimized geometry

a = 5.6601 Å, b = 10.0011 Å, c = 10.0247 Å
α = 113.16°, β = 96.46°, γ = 96.09°
Sites, in units of the cell vectors:
Na (0.0000, 0.0000, 0.0000)
Na (0.0012, 0.3946, 0.5968)
Na (0.0052, 0.1953, 0.8061)
Na (0.2418, 0.9382, 0.5480)
Na (0.2468, 0.5457, 0.9385)
Na (0.2753, 0.1549, 0.3538)
Na (0.2757, 0.3611, 0.1589)
Na (0.4973, 0.0961, 0.9017)
Na (0.5000, 0.5000, 0.5000)
Na (0.5027, 0.9039, 0.0983)
Na (0.7243, 0.6389, 0.8411)
Na (0.7247, 0.8451, 0.6462)
Na (0.7532, 0.4543, 0.0615)
Na (0.7582, 0.0618, 0.4520)
Na (0.9948, 0.8047, 0.1939)
Na (0.9988, 0.6054, 0.4032)
Fe (0.2114, 0.7625, 0.7816)
Fe (0.4880, 0.7345, 0.2923)
Fe (0.5120, 0.2655, 0.7077)
Fe (0.7886, 0.2375, 0.2184)
O (0.0610, 0.3483, 0.3499)
O (0.1160, 0.7744, 0.9511)
O (0.1270, 0.9307, 0.7723)
O (0.2038, 0.1920, 0.6047)
O (0.2076, 0.6032, 0.1904)
O (0.3229, 0.5875, 0.7238)
O (0.3833, 0.9045, 0.3174)
O (0.3985, 0.3160, 0.8820)
O (0.4061, 0.7103, 0.4524)
O (0.4709, 0.1523, 0.1521)
O (0.5291, 0.8477, 0.8479)
O (0.5939, 0.2897, 0.5476)
O (0.6015, 0.6840, 0.1180)
O (0.6167, 0.0955, 0.6826)
O (0.6771, 0.4125, 0.2762)
O (0.7924, 0.3968, 0.8096)
O (0.7962, 0.8080, 0.3953)
O (0.8730, 0.0693, 0.2277)
O (0.8840, 0.2256, 0.0489)
O (0.9390, 0.6517, 0.6501)

Computed properties:
**ΔH_f (0 K)**: -1.489 eV/atom
**E above lowest polymorph**: 0 meV per atom
**MP2020-corrected energy**: -0.3924 Ry/atom


Compound: VBi25O40
Source: Materials Project
Functional: PBE+U
Structure: optimized geometry

a = 9.0191 Å, b = 9.0191 Å, c = 14.7343 Å
α = 90.03°, β = 90.03°, γ = 70.47°
Sites, in units of the cell vectors:
V (0.0000, 0.0000, 0.0000)
Bi (0.0247, 0.6732, 0.1717)
Bi (0.0908, 0.7255, 0.4161)
Bi (0.0917, 0.0540, 0.2513)
Bi (0.1638, 0.5101, 0.6522)
Bi (0.2280, 0.2755, 0.0729)
Bi (0.2434, 0.6032, 0.9013)
Bi (0.2459, 0.2605, 0.4313)
Bi (0.2745, 0.9092, 0.5839)
Bi (0.3268, 0.9753, 0.8283)
Bi (0.3968, 0.7566, 0.0987)
Bi (0.4453, 0.4159, 0.2523)
Bi (0.4899, 0.8362, 0.3478)
Bi (0.5040, 0.4960, 0.5000)
Bi (0.5295, 0.1650, 0.6649)
Bi (0.5761, 0.2178, 0.9223)
Bi (0.5841, 0.5547, 0.7477)
Bi (0.6445, 0.0081, 0.1522)
Bi (0.7245, 0.7720, 0.9271)
Bi (0.7368, 0.0930, 0.4041)
Bi (0.7395, 0.7541, 0.5687)
Bi (0.7822, 0.4239, 0.0777)
Bi (0.8350, 0.4705, 0.3351)
Bi (0.9070, 0.2632, 0.5959)
Bi (0.9460, 0.9083, 0.7487)
Bi (0.9919, 0.3555, 0.8478)
O (0.0000, 0.8056, 0.9998)
O (0.0025, 0.4017, 0.9992)
O (0.0071, 0.7418, 0.6331)
O (0.0077, 0.2575, 0.3719)
O (0.0527, 0.0601, 0.6894)
O (0.0612, 0.5778, 0.3113)
O (0.0700, 0.5583, 0.8195)
O (0.1388, 0.5004, 0.4998)
O (0.1913, 0.1774, 0.5560)
O (0.1944, 0.0000, 0.0002)
O (0.1968, 0.8028, 0.1953)
O (0.1972, 0.8032, 0.8047)
O (0.2357, 0.5036, 0.1234)
O (0.2582, 0.9929, 0.3669)
O (0.3188, 0.3040, 0.9439)
O (0.3775, 0.6232, 0.3747)
O (0.3768, 0.6225, 0.6253)
O (0.4222, 0.9388, 0.6887)
O (0.4383, 0.4507, 0.8172)
O (0.4417, 0.9300, 0.1805)
O (0.4964, 0.7643, 0.8766)
O (0.4996, 0.8612, 0.5002)
O (0.5027, 0.2428, 0.5008)
O (0.5036, 0.2444, 0.1306)
O (0.5493, 0.5617, 0.1828)
O (0.5625, 0.0710, 0.8133)
O (0.5709, 0.0496, 0.3165)
O (0.5983, 0.9975, 0.0008)
O (0.6863, 0.3136, 0.3133)
O (0.6864, 0.3137, 0.6867)
O (0.6960, 0.6812, 0.0561)
O (0.7425, 0.9923, 0.6281)
O (0.7556, 0.4964, 0.8694)
O (0.7572, 0.4973, 0.4992)
O (0.8226, 0.8087, 0.4440)
O (0.9025, 0.0979, 0.0971)
O (0.9021, 0.0975, 0.9029)
O (0.9290, 0.4375, 0.1867)
O (0.9399, 0.9473, 0.3106)
O (0.9504, 0.4291, 0.6835)

Computed properties:
**ΔH_f (0 K)**: -1.677 eV/atom
**MP2020-corrected energy**: -0.4620 Ry/atom


Q: What is the formula in the third record?
A: Li3MnPCO7


Q: Which of these has the highest MP2020-corrected energy?
A: Na4FeO5


Q: What is the ΔH_f (0 K) in the eighth record?
A: -1.677 eV/atom


Q: Among the records above, which one has the lowest MP2020-corrected energy?
A: Li4Ti3Nb2Co3O16